## Rb2VCl6 (r²SCAN)

Data for an optimized crystal structure of Rb2VCl6.

Computed properties:
Mass density   2.96 g/cm³
Total DFT energy (no corrections)   -0.3865 hartree per atom

The structure in extended XYZ format:
```
9
Lattice="0.000 4.960 4.960 4.960 0.000 4.960 4.960 4.960 0.000" Properties=species:S:1:pos:R:3 pbc="T T T"
Rb 2.480 2.480 2.480
Rb 7.441 7.441 7.441
V 0.000 0.000 0.000
Cl 4.960 4.960 2.319
Cl 4.960 2.319 4.960
Cl 7.602 4.960 4.960
Cl 2.319 4.960 4.960
Cl 4.960 7.602 4.960
Cl 4.960 4.960 7.602
```

***

## RbW3Cl9 (r²SCAN)

Data for an optimized crystal structure of RbW3Cl9.

Computed properties:
Mass density   4.83 g/cm³
Total DFT energy (no corrections)   -0.6714 hartree per atom

The structure in extended XYZ format:
```
26
Lattice="9.470 0.000 0.000 -4.735 8.201 0.000 0.000 0.000 8.468" Properties=species:S:1:pos:R:3 pbc="T T T"
Rb 0.000 5.467 0.435
Rb 4.735 2.734 8.032
W -3.740 6.768 5.333
W 0.743 1.578 5.333
W 1.738 0.145 3.135
W 2.997 8.056 5.333
W 3.992 6.623 3.135
W 8.475 1.433 3.135
Cl -3.639 6.623 1.574
Cl -2.629 5.130 6.822
Cl -0.305 3.439 4.246
Cl 0.819 1.738 1.574
Cl 1.915 0.160 6.894
Cl -1.604 6.746 4.246
Cl 1.606 3.359 6.822
Cl 3.712 0.289 1.645
Cl 2.825 1.983 4.222
Cl 1.909 6.218 4.246
Cl 1.023 7.912 6.822
Cl 3.129 4.842 1.645
Cl 6.339 1.455 4.222
Cl 2.820 8.041 1.574
Cl 3.916 6.463 6.894
Cl 5.040 4.762 4.222
Cl 7.364 3.071 1.645
Cl 8.373 1.578 6.894
```

***

## Rb2WCl6 (r²SCAN)

Data for an optimized crystal structure of Rb2WCl6.

Computed properties:
Mass density   3.71 g/cm³
Total DFT energy (no corrections)   -0.5322 hartree per atom

The structure in extended XYZ format:
```
9
Lattice="3.547 2.048 5.835 -3.547 2.048 5.835 0.000 -4.096 5.835" Properties=species:S:1:pos:R:3 pbc="T T T"
Rb 0.000 0.000 4.377
Rb 0.000 0.000 13.128
W 0.000 0.000 0.000
Cl 0.000 -2.153 7.223
Cl -1.865 1.077 7.223
Cl -1.865 -1.077 10.281
Cl 1.865 1.077 7.223
Cl 1.865 -1.077 10.281
Cl 0.000 2.153 10.281
```

***

## RbY2Cl7 (r²SCAN)

Data for an optimized crystal structure of RbY2Cl7.

Computed properties:
Mass density   2.95 g/cm³
Total DFT energy (no corrections)   -0.4511 hartree per atom

The structure in extended XYZ format:
```
40
Lattice="13.091 0.000 0.000 0.000 6.958 0.000 0.000 0.000 12.641" Properties=species:S:1:pos:R:3 pbc="T T T"
Rb 0.522 1.740 2.475
Rb 6.023 5.219 8.795
Rb 7.067 1.740 3.846
Rb 12.569 5.219 10.167
Y 3.113 1.740 6.827
Y 3.251 1.740 10.655
Y 3.294 5.219 4.334
Y 3.432 5.219 0.507
Y 9.658 1.740 12.135
Y 9.796 1.740 8.307
Y 9.840 5.219 1.987
Y 9.978 5.219 5.814
Cl 1.385 5.219 2.387
Cl 1.585 0.073 5.329
Cl 1.585 3.406 5.329
Cl 1.696 0.069 12.146
Cl 1.696 3.410 12.146
Cl 2.281 0.050 8.762
Cl 2.281 3.429 8.762
Cl 4.264 3.529 2.441
Cl 4.264 6.908 2.441
Cl 4.849 3.548 5.825
Cl 4.849 6.889 5.825
Cl 4.960 3.552 11.649
Cl 4.960 6.885 11.649
Cl 5.161 1.740 8.707
Cl 7.930 5.219 3.934
Cl 8.131 0.073 0.992
Cl 8.131 3.406 0.992
Cl 8.242 0.069 6.816
Cl 8.242 3.410 6.816
Cl 8.827 0.050 10.200
Cl 8.827 3.429 10.200
Cl 10.809 3.529 3.880
Cl 10.809 6.908 3.880
Cl 11.394 3.548 0.496
Cl 11.394 6.889 0.496
Cl 11.505 3.552 7.313
Cl 11.505 6.885 7.313
Cl 11.706 1.740 10.255
```

***

## Rb2YCl5 (r²SCAN)

Data for an optimized crystal structure of Rb2YCl5.

Computed properties:
Mass density   2.85 g/cm³
Total DFT energy (no corrections)   -0.4510 hartree per atom

The structure in extended XYZ format:
```
32
Lattice="9.386 0.000 0.000 0.000 7.361 0.000 0.000 0.000 14.764" Properties=species:S:1:pos:R:3 pbc="T T T"
Rb 0.274 1.840 3.093
Rb 1.579 5.521 6.145
Rb 3.114 1.840 13.527
Rb 4.419 5.521 10.474
Rb 4.967 1.840 4.289
Rb 6.272 5.521 1.237
Rb 7.807 1.840 8.619
Rb 9.112 5.521 11.671
Y 1.781 5.521 0.936
Y 2.912 1.840 8.317
Y 6.473 5.521 6.446
Y 7.605 1.840 13.828
Cl 0.000 0.000 0.000
Cl 0.000 3.680 0.000
Cl 0.312 5.521 3.066
Cl 1.382 3.759 9.050
Cl 1.382 7.282 9.050
Cl 2.031 1.840 5.829
Cl 2.662 5.521 13.211
Cl 3.311 0.079 1.669
Cl 3.311 3.602 1.669
Cl 4.381 1.840 10.448
Cl 4.693 0.000 7.382
Cl 4.693 3.680 7.382
Cl 5.005 5.521 4.316
Cl 6.075 3.759 13.095
Cl 6.075 7.282 13.095
Cl 6.724 1.840 1.553
Cl 7.355 5.521 8.935
Cl 8.004 0.079 5.713
Cl 8.004 3.602 5.713
Cl 9.074 1.840 11.698
```

***

## Rb2ZnCl4 (r²SCAN)

Data for an optimized crystal structure of Rb2ZnCl4.

Computed properties:
Mass density   2.93 g/cm³
Total DFT energy (no corrections)   -0.3906 hartree per atom

The structure in extended XYZ format:
```
28
Lattice="9.274 0.000 0.000 0.000 12.776 0.000 0.000 0.000 7.224" Properties=species:S:1:pos:R:3 pbc="T T T"
Rb 0.132 2.264 0.000
Rb 1.163 5.348 3.610
Rb 3.474 11.736 7.222
Rb 4.505 8.652 3.612
Rb 4.768 4.124 0.000
Rb 5.800 1.040 3.610
Rb 8.111 7.428 7.222
Rb 9.142 10.512 3.612
Zn 2.078 0.993 3.640
Zn 2.559 7.381 0.028
Zn 6.715 5.395 3.640
Zn 7.195 11.783 0.028
Cl 0.165 11.690 0.073
Cl 1.668 8.322 1.878
Cl 1.679 5.280 7.191
Cl 1.713 8.437 5.447
Cl 2.924 2.049 1.835
Cl 2.958 11.668 3.579
Cl 2.969 1.934 5.490
Cl 4.472 5.302 3.685
Cl 4.802 7.474 0.073
Cl 6.304 10.842 1.878
Cl 6.316 1.108 7.191
Cl 6.350 10.727 5.447
Cl 7.561 4.339 1.835
Cl 7.595 7.496 3.579
Cl 7.606 4.454 5.490
Cl 9.108 1.086 3.685
```

***

## Rb2ZnCl4 (r²SCAN)

Data for an optimized crystal structure of Rb2ZnCl4.

Computed properties:
Mass density   2.93 g/cm³
Total DFT energy (no corrections)   -0.3906 hartree per atom

The structure in extended XYZ format:
```
28
Lattice="9.285 0.000 0.000 0.000 7.227 0.000 0.000 0.000 12.775" Properties=species:S:1:pos:R:3 pbc="T T T"
Rb 0.149 1.807 2.268
Rb 1.175 5.420 5.348
Rb 3.467 1.807 11.736
Rb 4.494 5.420 8.655
Rb 4.791 1.807 4.120
Rb 5.818 5.420 1.039
Rb 8.110 1.807 7.427
Rb 9.136 5.420 10.508
Zn 2.086 5.420 0.988
Zn 2.557 1.807 7.376
Zn 6.728 5.420 5.400
Zn 7.199 1.807 11.788
Cl 0.158 1.807 11.676
Cl 1.673 3.636 8.362
Cl 1.673 7.205 8.362
Cl 1.701 1.807 5.263
Cl 2.942 5.420 11.651
Cl 2.969 0.022 1.975
Cl 2.969 3.591 1.975
Cl 4.485 5.420 5.289
Cl 4.800 1.807 7.487
Cl 6.316 3.636 10.801
Cl 6.316 7.205 10.801
Cl 6.343 1.807 1.125
Cl 7.584 5.420 7.512
Cl 7.612 0.022 4.413
Cl 7.612 3.591 4.413
Cl 9.127 5.420 1.099
```

***

## ReCl6 (r²SCAN)

Data for an optimized crystal structure of ReCl6.

Computed properties:
Mass density   3.71 g/cm³
Total DFT energy (no corrections)   -0.4915 hartree per atom

The structure in extended XYZ format:
```
7
Lattice="3.048 1.760 5.552 -3.048 1.760 5.552 0.000 -3.520 5.552" Properties=species:S:1:pos:R:3 pbc="T T T"
Re 0.000 0.000 0.000
Cl -0.902 -1.883 6.868
Cl -2.082 -0.160 9.788
Cl -1.179 1.723 6.868
Cl 1.179 -1.723 9.788
Cl 2.082 0.160 6.868
Cl 0.902 1.883 9.788
```

***

no.,energy of formation from the pure elements (meV per atom)
1,-1754
2,-1086
3,-1577
4,-2513
5,-2405
6,-1860
7,-1860
8,-614